# r2SCAN IrS3Cl11, relaxed
# Total energy = -596.923 eV for the cell shown
# Total moment = 0.0 μB per formula unit
data_IrS3Cl11
_space_group_name_H-M_alt 'P 1 21/c 1'
_space_group_IT_number 14
_cell_length_a 8.2281
_cell_length_b 13.5148
_cell_length_c 15.2564
_cell_angle_alpha 90.00
_cell_angle_beta 105.09
_cell_angle_gamma 90.00
loop_
_space_group_symop_operation_xyz
'x,y,z'
'-x,-y,-z'
'-x,y+1/2,-z+1/2'
'x,-y+1/2,z+1/2'
loop_
_atom_site_label
_atom_site_type_symbol
_atom_site_fract_x
_atom_site_fract_y
_atom_site_fract_z
Ir1 Ir 0.1030 0.0913 0.3031
S1 S 0.0707 0.5208 0.1230
S2 S 0.1307 0.5456 0.7280
S3 S 0.3798 0.2333 0.9407
Cl1 Cl 0.0291 0.2354 0.3781
Cl2 Cl 0.0522 0.1292 0.6312
Cl3 Cl 0.1014 0.6385 0.3297
Cl4 Cl 0.1871 0.5122 0.6090
Cl5 Cl 0.3127 0.0573 0.4403
Cl6 Cl 0.3139 0.1836 0.2580
Cl7 Cl 0.3167 0.5438 0.1859
Cl8 Cl 0.3410 0.6231 0.7899
Cl9 Cl 0.3485 0.0894 0.8972
Cl10 Cl 0.3628 0.2147 0.0699
Cl11 Cl 0.3675 0.7472 0.5372